A plane-wave DFT calculation with PBE+U was carried out for a geometry-optimized SrCa7Mn6Al2O22 structure.

Results
Relative energy among the computed polymorphs   0.000 eV per atom
ΔH_f (0 K)   -2.692 eV per atom
SG   No. 1

Unit cell a=10.8167 b=10.8633 c=15.2796 alpha=89.76 beta=89.64 gamma=89.37
Fractional positions:
1 Sr 0.0000 0.0000 0.0000
2 Sr 0.9996 0.0188 0.2589
3 Sr 0.2489 0.2623 0.0097
4 Sr 0.7526 0.7686 0.2591
5 Ca 0.9999 0.5398 0.7510
6 Ca 0.0012 0.5114 0.2574
7 Ca 0.0022 0.4982 0.9882
8 Ca 0.0082 0.9856 0.4979
9 Ca 0.0092 0.5058 0.5105
10 Ca 0.2437 0.7445 0.5025
11 Ca 0.2540 0.7339 0.9952
12 Ca 0.2556 0.2905 0.7475
13 Ca 0.2572 0.7833 0.7505
14 Ca 0.2686 0.7856 0.2589
15 Ca 0.2747 0.2588 0.5018
16 Ca 0.2799 0.2908 0.2559
17 Ca 0.4955 0.5378 0.7528
18 Ca 0.4965 0.0000 0.5012
19 Ca 0.4984 0.5282 0.2587
20 Ca 0.5044 0.4924 0.0037
21 Ca 0.5078 0.0212 0.7469
22 Ca 0.5113 0.4899 0.5026
23 Ca 0.5131 0.9987 0.9971
24 Ca 0.5146 0.0394 0.2602
25 Ca 0.7428 0.2420 0.9940
26 Ca 0.7435 0.2448 0.5055
27 Ca 0.7467 0.2883 0.2505
28 Ca 0.7466 0.7369 0.5048
29 Ca 0.7474 0.7368 0.9890
30 Ca 0.7544 0.2836 0.7518
31 Ca 0.7537 0.7837 0.7497
32 Ca 0.9957 0.0283 0.7560
33 Mn 0.0006 0.7580 0.3847
34 Mn 0.0012 0.7668 0.6300
35 Mn 0.0020 0.7616 0.8741
36 Mn 0.0072 0.2615 0.8730
37 Mn 0.2505 0.5130 0.8748
38 Mn 0.2501 0.5195 0.1334
39 Mn 0.2523 0.0207 0.3760
40 Mn 0.2556 0.5148 0.6271
41 Mn 0.2595 0.0124 0.6323
42 Mn 0.2597 0.5144 0.3806
43 Mn 0.4972 0.7555 0.1274
44 Mn 0.4982 0.7614 0.3816
45 Mn 0.5011 0.7680 0.8771
46 Mn 0.5043 0.7627 0.6261
47 Mn 0.5049 0.2623 0.6285
48 Mn 0.5098 0.2640 0.1290
49 Mn 0.5127 0.2686 0.8761
50 Mn 0.7496 0.5135 0.1260
51 Mn 0.7513 0.0104 0.8760
52 Mn 0.7521 0.5150 0.6298
53 Mn 0.7530 0.5064 0.3784
54 Mn 0.7544 0.5135 0.8750
55 Mn 0.7567 0.0140 0.6238
56 Mn 0.9971 0.2722 0.6303
57 Al 0.0280 0.2742 0.3991
58 Al 0.2375 0.9945 0.8804
59 Al 0.3033 0.0143 0.1242
60 Al 0.5118 0.2613 0.3792
61 Al 0.7373 0.9932 0.3837
62 Al 0.7702 0.0409 0.1355
63 Al 0.9753 0.7414 0.1096
64 Al 0.9781 0.2836 0.1140
65 O 0.0443 0.7582 0.7539
66 O 0.0458 0.2435 0.7495
67 O 0.0964 0.1283 0.3783
68 O 0.1083 0.6195 0.8949
69 O 0.1094 0.6485 0.1273
70 O 0.1112 0.6191 0.3953
71 O 0.1116 0.6215 0.6092
72 O 0.1293 0.1282 0.8946
73 O 0.1286 0.3237 0.1426
74 O 0.1403 0.3739 0.8915
75 O 0.1400 0.8706 0.3811
76 O 0.1407 0.8791 0.6079
77 O 0.1433 0.8626 0.8986
78 O 0.1519 0.3639 0.6082
79 O 0.1555 0.3734 0.3989
80 O 0.2006 0.9768 0.2065
81 O 0.2166 0.5061 0.7502
82 O 0.2194 0.5045 0.2564
83 O 0.2195 0.0113 0.7569
84 O 0.2636 0.0391 0.5102
85 O 0.2652 0.0134 0.0111
86 O 0.2727 0.5123 0.0065
87 O 0.2956 0.5247 0.5034
88 O 0.3525 0.6656 0.1420
89 O 0.3549 0.1630 0.6462
90 O 0.3574 0.6619 0.8626
91 O 0.3577 0.6582 0.3594
92 O 0.3582 0.6587 0.6489
93 O 0.3657 0.1578 0.3612
94 O 0.3680 0.1600 0.1478
95 O 0.3892 0.3964 0.8572
96 O 0.3911 0.9124 0.3544
97 O 0.3952 0.9268 0.8643
98 O 0.3990 0.4108 0.1445
99 O 0.4016 0.4068 0.3645
100 O 0.4023 0.4082 0.6471
101 O 0.4038 0.9055 0.6447
102 O 0.4365 0.9186 0.1407
103 O 0.4568 0.7790 0.5026
104 O 0.4704 0.7816 0.0028
105 O 0.4738 0.2632 0.0003
106 O 0.4823 0.2674 0.5034
107 O 0.5311 0.7505 0.2498
108 O 0.5329 0.2400 0.7538
109 O 0.5356 0.2635 0.2525
110 O 0.5390 0.7581 0.7527
111 O 0.6048 0.6202 0.8981
112 O 0.6072 0.6178 0.6048
113 O 0.6076 0.1132 0.6080
114 O 0.6076 0.6239 0.3978
115 O 0.6108 0.1191 0.8959
116 O 0.6145 0.6290 0.1006
117 O 0.6222 0.1249 0.1144
118 O 0.6250 0.1227 0.3891
119 O 0.6363 0.8671 0.3988
120 O 0.6466 0.8705 0.8956
121 O 0.6495 0.3699 0.1030
122 O 0.6513 0.3665 0.3939
123 O 0.6525 0.3631 0.6141
124 O 0.6535 0.8668 0.6074
125 O 0.6548 0.3749 0.8942
126 O 0.7089 0.5063 0.7526
127 O 0.7118 0.5047 0.2499
128 O 0.7182 0.0021 0.7530
129 O 0.7367 0.0084 0.2513
130 O 0.7721 0.0025 0.0175
131 O 0.7936 0.5229 0.9993
132 O 0.7951 0.0277 0.4982
133 O 0.7947 0.5154 0.5025
134 O 0.8532 0.6498 0.1452
135 O 0.8564 0.6598 0.6486
136 O 0.8584 0.6610 0.8540
137 O 0.8599 0.1531 0.8630
138 O 0.8639 0.1542 0.6497
139 O 0.8761 0.6370 0.3541
140 O 0.8862 0.8995 0.3671
141 O 0.8904 0.1552 0.1501
142 O 0.8912 0.4119 0.1461
143 O 0.8951 0.4170 0.6511
144 O 0.8991 0.9094 0.8605
145 O 0.9015 0.4080 0.8537
146 O 0.9009 0.9120 0.6477
147 O 0.9114 0.3438 0.3367
148 O 0.9224 0.8871 0.1471
149 O 0.9648 0.7615 0.9962
150 O 0.9661 0.7684 0.5101
151 O 0.9696 0.2629 0.5072
152 O 0.9710 0.2675 0.9990